[1]
Compound: Sr2YCu2BiPbO8
Source: the Materials Project database
Functional: PBE-GGA
Structure: optimized geometry

Calculated values
Excess energy over the best structure of this formula in the dataset: 0.0 kJ/mol of atoms
Formation enthalpy at 0 K: -2.25 eV/atom

Cell: 5.406 31.795 7.670 Å, 90.00 134.73 90.00°
Element x y z (fractional)
Sr: 0.213 0.139 0.246
Sr: 0.213 0.361 0.746
Sr: 0.223 0.138 0.755
Sr: 0.223 0.362 0.255
Sr: 0.777 0.638 0.745
Sr: 0.777 0.862 0.245
Sr: 0.787 0.639 0.254
Sr: 0.787 0.861 0.754
Y: 0.229 0.250 0.251
Y: 0.229 0.250 0.751
Y: 0.771 0.750 0.249
Y: 0.771 0.750 0.749
Cu: 0.275 0.699 0.249
Cu: 0.275 0.801 0.749
Cu: 0.276 0.696 0.749
Cu: 0.276 0.804 0.249
Cu: 0.724 0.196 0.751
Cu: 0.724 0.304 0.251
Cu: 0.725 0.199 0.251
Cu: 0.725 0.301 0.751
Bi: 0.278 0.555 0.220
Bi: 0.278 0.945 0.720
Bi: 0.722 0.055 0.280
Bi: 0.722 0.445 0.780
Pb: 0.316 0.554 0.766
Pb: 0.316 0.946 0.266
Pb: 0.684 0.054 0.734
Pb: 0.684 0.446 0.234
O: 0.180 0.060 0.662
O: 0.180 0.440 0.162
O: 0.221 0.204 0.480
O: 0.221 0.296 0.980
O: 0.229 0.202 0.024
O: 0.229 0.298 0.524
O: 0.235 0.704 0.980
O: 0.235 0.796 0.480
O: 0.262 0.624 0.738
O: 0.262 0.876 0.238
O: 0.282 0.621 0.270
O: 0.282 0.879 0.770
O: 0.317 0.703 0.518
O: 0.317 0.797 0.018
O: 0.371 0.062 0.321
O: 0.371 0.438 0.821
O: 0.629 0.562 0.179
O: 0.629 0.938 0.679
O: 0.683 0.203 0.982
O: 0.683 0.297 0.482
O: 0.718 0.121 0.230
O: 0.718 0.379 0.730
O: 0.738 0.124 0.762
O: 0.738 0.376 0.262
O: 0.765 0.204 0.520
O: 0.765 0.296 0.020
O: 0.771 0.702 0.476
O: 0.771 0.798 0.976
O: 0.779 0.704 0.020
O: 0.779 0.796 0.520
O: 0.820 0.560 0.838
O: 0.820 0.940 0.338

[2]
Compound: KSnOs
Source: the Materials Project database
Functional: PBE-GGA
Structure: optimized geometry

Calculated values
Formation enthalpy at 0 K: 1.11 eV/atom

Cell: 4.741 4.741 4.741 Å, 60.00 60.00 60.00°
Element x y z (fractional)
K: 0.000 0.000 0.000
Sn: 0.500 0.500 0.500
Os: 0.750 0.750 0.750

[3]
Compound: Gd2TiO5
Source: the Materials Project database
Functional: PBE-GGA
Structure: optimized geometry

Calculated values
Excess energy over the best structure of this formula in the dataset: 4.9 kJ/mol of atoms
Formation enthalpy at 0 K: -3.78 eV/atom

Cell: 9.580 7.149 6.920 Å, 90.00 103.53 90.00°
Element x y z (fractional)
Gd: 0.029 0.127 0.230
Gd: 0.029 0.373 0.730
Gd: 0.361 0.140 0.030
Gd: 0.361 0.360 0.530
Gd: 0.639 0.640 0.470
Gd: 0.639 0.860 0.970
Gd: 0.971 0.627 0.270
Gd: 0.971 0.873 0.770
Ti: 0.299 0.595 0.020
Ti: 0.299 0.905 0.520
Ti: 0.701 0.095 0.480
Ti: 0.701 0.405 0.980
O: 0.104 0.639 0.987
O: 0.104 0.861 0.487
O: 0.109 0.114 0.928
O: 0.109 0.386 0.428
O: 0.281 0.081 0.318
O: 0.281 0.419 0.818
O: 0.384 0.071 0.710
O: 0.384 0.429 0.210
O: 0.396 0.695 0.489
O: 0.396 0.805 0.989
O: 0.604 0.195 0.011
O: 0.604 0.305 0.511
O: 0.616 0.571 0.790
O: 0.616 0.929 0.290
O: 0.719 0.581 0.182
O: 0.719 0.919 0.682
O: 0.891 0.614 0.572
O: 0.891 0.886 0.072
O: 0.896 0.139 0.513
O: 0.896 0.361 0.013

[4]
Compound: TbMo6S8
Source: the Materials Project database
Functional: PBE-GGA
Structure: optimized geometry

Calculated values
Formation enthalpy at 0 K: -1.17 eV/atom

Cell: 6.510 6.510 6.510 Å, 89.34 89.34 89.34°
Element x y z (fractional)
Tb: 0.000 0.000 0.000
Mo: 0.224 0.420 0.561
Mo: 0.420 0.561 0.224
Mo: 0.439 0.776 0.580
Mo: 0.561 0.224 0.420
Mo: 0.580 0.439 0.776
Mo: 0.776 0.580 0.439
S: 0.128 0.751 0.369
S: 0.239 0.239 0.239
S: 0.249 0.631 0.872
S: 0.369 0.128 0.751
S: 0.631 0.872 0.249
S: 0.751 0.369 0.128
S: 0.761 0.761 0.761
S: 0.872 0.249 0.631

[5]
Compound: ScC3O6
Source: the Materials Project database
Functional: PBE-GGA
Structure: optimized geometry

Calculated values
Formation enthalpy at 0 K: -1.62 eV/atom

Cell: 10.576 6.784 9.287 Å, 90.00 99.20 90.00°
Element x y z (fractional)
Sc: 0.000 0.000 0.000
Sc: 0.000 0.500 0.500
Sc: 0.500 0.000 0.500
Sc: 0.500 0.500 0.000
C: 0.063 0.098 0.345
C: 0.063 0.402 0.845
C: 0.286 0.698 0.582
C: 0.286 0.802 0.082
C: 0.360 0.214 0.749
C: 0.360 0.286 0.249
C: 0.640 0.714 0.751
C: 0.640 0.786 0.251
C: 0.714 0.198 0.918
C: 0.714 0.302 0.418
C: 0.937 0.598 0.155
C: 0.937 0.902 0.655
O: 0.006 0.103 0.216
O: 0.006 0.397 0.716
O: 0.065 0.215 0.448
O: 0.065 0.285 0.948
O: 0.194 0.586 0.545
O: 0.194 0.914 0.045
O: 0.357 0.713 0.007
O: 0.357 0.787 0.507
O: 0.367 0.173 0.355
O: 0.367 0.327 0.855
O: 0.443 0.152 0.678
O: 0.443 0.348 0.178
O: 0.557 0.652 0.822
O: 0.557 0.848 0.322
O: 0.633 0.673 0.145
O: 0.633 0.827 0.645
O: 0.643 0.213 0.493
O: 0.643 0.287 0.993
O: 0.806 0.086 0.955
O: 0.806 0.414 0.455
O: 0.935 0.715 0.052
O: 0.935 0.785 0.552
O: 0.994 0.603 0.284
O: 0.994 0.897 0.784

[6]
Compound: ZnCuAs
Source: the Materials Project database
Functional: PBE-GGA
Structure: optimized geometry

Calculated values
Formation enthalpy at 0 K: 0.00 eV/atom

Cell: 8.455 4.150 5.930 Å, 90.00 90.00 90.00°
Element x y z (fractional)
Zn: 0.133 0.219 0.000
Zn: 0.367 0.719 0.500
Zn: 0.633 0.281 0.000
Zn: 0.867 0.781 0.500
Cu: 0.137 0.218 0.488
Cu: 0.363 0.718 0.988
Cu: 0.637 0.282 0.488
Cu: 0.863 0.782 0.988
As: 0.114 0.723 0.745
As: 0.386 0.223 0.245
As: 0.614 0.777 0.745
As: 0.886 0.277 0.245

[7]
Compound: NdInCu4
Source: the Materials Project database
Functional: PBE-GGA
Structure: optimized geometry

Calculated values
Formation enthalpy at 0 K: -0.22 eV/atom

Cell: 5.200 5.200 5.200 Å, 60.00 60.00 60.00°
Element x y z (fractional)
Nd: 0.000 0.000 0.000
In: 0.250 0.250 0.250
Cu: 0.127 0.624 0.624
Cu: 0.624 0.127 0.624
Cu: 0.624 0.624 0.127
Cu: 0.624 0.624 0.624

[8]
Compound: KNaMg6O7
Source: the Materials Project database
Functional: PBE-GGA
Structure: optimized geometry

Calculated values
Excess energy over the best structure of this formula in the dataset: 0.0 kJ/mol of atoms
Formation enthalpy at 0 K: -2.30 eV/atom

Cell: 4.635 4.635 8.236 Å, 90.00 90.00 90.00°
Element x y z (fractional)
K: 0.000 0.000 0.000
Na: 0.000 0.000 0.466
Mg: 0.000 0.500 0.216
Mg: 0.000 0.500 0.718
Mg: 0.500 0.000 0.216
Mg: 0.500 0.000 0.718
Mg: 0.500 0.500 0.466
Mg: 0.500 0.500 0.963
O: 0.000 0.000 0.719
O: 0.000 0.500 0.450
O: 0.000 0.500 0.978
O: 0.500 0.000 0.450
O: 0.500 0.000 0.978
O: 0.500 0.500 0.215
O: 0.500 0.500 0.714

[9]
Compound: Zn2P
Source: the Materials Project database
Functional: PBE-GGA
Structure: optimized geometry

Calculated values
Formation enthalpy at 0 K: 0.24 eV/atom

Cell: 5.295 5.295 5.295 Å, 90.00 90.00 90.00°
Element x y z (fractional)
Zn: 0.000 0.000 0.000
Zn: 0.000 0.500 0.500
Zn: 0.500 0.000 0.500
Zn: 0.500 0.500 0.000
P: 0.250 0.250 0.250
P: 0.750 0.750 0.750

[10]
Compound: Li2Mn4N3
Source: the Materials Project database
Functional: PBE-GGA
Structure: optimized geometry

Calculated values
Formation enthalpy at 0 K: -0.48 eV/atom

Cell: 7.340 4.594 5.289 Å, 90.00 95.80 90.00°
Element x y z (fractional)
Li: 0.239 0.206 0.033
Li: 0.239 0.294 0.533
Li: 0.761 0.706 0.467
Li: 0.761 0.794 0.967
Mn: 0.101 0.699 0.815
Mn: 0.101 0.801 0.315
Mn: 0.440 0.706 0.131
Mn: 0.440 0.794 0.631
Mn: 0.560 0.206 0.369
Mn: 0.560 0.294 0.869
Mn: 0.899 0.199 0.685
Mn: 0.899 0.301 0.185
N: 0.000 0.000 0.000
N: 0.000 0.500 0.500
N: 0.339 0.520 0.836
N: 0.339 0.980 0.336
N: 0.661 0.020 0.664
N: 0.661 0.480 0.164

[11]
Compound: Na2PdC2
Source: the Materials Project database
Functional: PBE-GGA
Structure: optimized geometry

Calculated values
Formation enthalpy at 0 K: 0.03 eV/atom

Cell: 4.512 4.512 5.283 Å, 90.00 90.00 120.00°
Element x y z (fractional)
Na: 0.333 0.667 0.220
Na: 0.667 0.333 0.780
Pd: 0.000 0.000 0.500
C: 0.000 0.000 0.120
C: 0.000 0.000 0.880

[12]
Compound: Cs2InGaI6
Source: the Materials Project database
Functional: PBE-GGA
Structure: optimized geometry

Calculated values
Formation enthalpy at 0 K: -1.14 eV/atom

Cell: 8.646 8.646 8.646 Å, 60.00 60.00 60.00°
Element x y z (fractional)
Cs: 0.250 0.250 0.250
Cs: 0.750 0.750 0.750
In: 0.000 0.000 0.000
Ga: 0.500 0.500 0.500
I: 0.244 0.244 0.756
I: 0.244 0.756 0.244
I: 0.244 0.756 0.756
I: 0.756 0.244 0.244
I: 0.756 0.244 0.756
I: 0.756 0.756 0.244

[13]
Compound: TaReSi
Source: the Materials Project database
Functional: PBE-GGA
Structure: optimized geometry

Calculated values
Formation enthalpy at 0 K: -0.46 eV/atom

Cell: 6.903 6.903 3.282 Å, 90.00 90.00 120.00°
Element x y z (fractional)
Ta: 0.000 0.599 0.000
Ta: 0.401 0.401 0.000
Ta: 0.599 0.000 0.000
Re: 0.000 0.260 0.500
Re: 0.260 0.000 0.500
Re: 0.740 0.740 0.500
Si: 0.000 0.000 0.000
Si: 0.333 0.667 0.500
Si: 0.667 0.333 0.500

[14]
Compound: LaCuNi4
Source: the Materials Project database
Functional: PBE-GGA
Structure: optimized geometry

Calculated values
Formation enthalpy at 0 K: -0.27 eV/atom

Cell: 5.020 5.020 3.997 Å, 90.00 90.00 120.00°
Element x y z (fractional)
La: 0.000 0.000 0.000
Cu: 0.333 0.667 0.000
Ni: 0.501 0.002 0.500
Ni: 0.501 0.499 0.500
Ni: 0.667 0.333 0.000
Ni: 0.998 0.499 0.500

[15]
Compound: UO4
Source: the Materials Project database
Functional: PBE-GGA
Structure: optimized geometry

Calculated values
Excess energy over the best structure of this formula in the dataset: 0.0 kJ/mol of atoms
Formation enthalpy at 0 K: -2.54 eV/atom

Cell: 5.758 5.751 4.245 Å, 68.44 68.27 43.28°
Element x y z (fractional)
U: 0.000 0.000 0.000
O: 0.000 0.000 0.500
O: 0.187 0.187 0.813
O: 0.500 0.500 0.000
O: 0.813 0.813 0.187

[16]
Compound: ZrAl2Zn
Source: the Materials Project database
Functional: PBE-GGA
Structure: optimized geometry

Calculated values
Formation enthalpy at 0 K: -0.48 eV/atom

Cell: 4.107 4.107 4.042 Å, 90.00 90.00 90.00°
Element x y z (fractional)
Zr: 0.000 0.000 0.000
Al: 0.000 0.500 0.500
Al: 0.500 0.000 0.500
Zn: 0.500 0.500 0.000

[17]
Compound: MgZn
Source: the Materials Project database
Functional: PBE-GGA
Structure: optimized geometry

Calculated values
Formation enthalpy at 0 K: -0.04 eV/atom

Cell: 5.315 5.315 5.698 Å, 118.55 118.55 54.76°
Element x y z (fractional)
Mg: 0.000 0.000 0.000
Mg: 0.458 0.235 0.516
Mg: 0.765 0.542 0.484
Zn: 0.120 0.880 0.500
Zn: 0.282 0.342 0.994
Zn: 0.658 0.718 0.006

[18]
Compound: MgSi2
Source: the Materials Project database
Functional: PBE-GGA
Structure: optimized geometry

Calculated values
Excess energy over the best structure of this formula in the dataset: 6.0 kJ/mol of atoms
Formation enthalpy at 0 K: 0.14 eV/atom

Cell: 3.748 5.571 11.519 Å, 91.67 98.93 108.93°
Element x y z (fractional)
Mg: 0.000 0.000 0.000
Mg: 0.009 0.757 0.259
Mg: 0.532 0.252 0.811
Mg: 0.591 0.679 0.499
Si: 0.168 0.608 0.720
Si: 0.271 0.603 0.941
Si: 0.287 0.101 0.469
Si: 0.327 0.354 0.302
Si: 0.680 0.158 0.195
Si: 0.748 0.456 0.043
Si: 0.813 0.890 0.735
Si: 0.901 0.212 0.594